A plane-wave DFT calculation with PBE with a Hubbard U was carried out for an optimized crystal structure of Mn3CrO8.

Properties
Relative energy among the computed polymorphs, eV/atom: 0.000
Calculated formation energy, eV per atom: -1.823
Energy, eV per atom: -7.175

Cell lengths 5.7681, 5.7681, 8.8997 Å; angles 90.00, 90.00, 120.00 degrees
Fractional positions:
Mn 0.8321 0.6642 0.7109
Mn 0.1679 0.8321 0.2109
Mn 0.8321 0.1679 0.7109
Mn 0.3358 0.1679 0.7109
Mn 0.1679 0.3358 0.2109
Mn 0.6642 0.8321 0.2109
O 0.9585 0.4792 0.8384
O 0.6635 0.8318 0.6007
O 0.0000 0.0000 0.3172
O 0.0000 0.0000 0.8172
O 0.5208 0.0415 0.8384
O 0.5208 0.4792 0.8384
O 0.3365 0.1682 0.1007
O 0.4792 0.9585 0.3384
O 0.6667 0.3333 0.6003
O 0.1682 0.8318 0.6007
O 0.8318 0.6635 0.1007
O 0.0415 0.5208 0.3384
O 0.1682 0.3365 0.6007
O 0.4792 0.5208 0.3384
O 0.8318 0.1682 0.1007
O 0.3333 0.6667 0.1003
Cr 0.6667 0.3333 0.9905
Cr 0.3333 0.6667 0.4905



A plane-wave DFT calculation with PBE with a Hubbard U was carried out for an optimized crystal structure of Sr2Pr2MnCuO8.

Properties
Relative energy among the computed polymorphs, eV/atom: 0.099
Calculated formation energy, eV per atom: -2.675
Energy, eV per atom: -6.862

Cell lengths 7.0438, 7.0438, 16.1748 Å; angles 73.42, 73.42, 31.37 degrees
Fractional positions:
O 0.5007 0.5007 0.1113
O 0.7755 0.7755 0.4190
O 0.0000 0.0000 0.5000
O 0.4706 0.4706 0.3684
O 0.1732 0.1732 0.0672
O 0.0000 0.0000 0.0000
O 0.0106 0.0106 0.7570
O 0.2245 0.2245 0.5810
O 0.8268 0.8268 0.9328
O 0.1657 0.1657 0.8547
O 0.9894 0.9894 0.2430
O 0.1658 0.1658 0.3068
O 0.5294 0.5294 0.6316
O 0.8343 0.8343 0.1453
O 0.8342 0.8342 0.6932
O 0.4993 0.4993 0.8887
Cu 0.0008 0.0008 0.8817
Cu 0.9992 0.9992 0.1183
Sr 0.6409 0.6409 0.2081
Sr 0.3591 0.3591 0.7919
Sr 0.3650 0.3650 0.2591
Sr 0.6350 0.6350 0.7409
Mn 0.9977 0.9977 0.3614
Mn 0.0023 0.0023 0.6386
Pr 0.1736 0.1736 0.4476
Pr 0.3584 0.3584 0.0315
Pr 0.8264 0.8264 0.5524
Pr 0.6416 0.6416 0.9685